# PBE-GGA MgSi2, relaxed
# Volume ... 174.0 Å³/cell
# E above lowest polymorph ... 0.000 kcal/mol of atoms
# Energy of formation from the pure elements ... 0.08 eV per atom
# Crystal system ... trigonal
data_MgSi2
_chemical_formula_sum 'Mg3 Si6'
_cell_length_a 3.7552
_cell_length_b 3.7552
_cell_length_c 14.2456
_cell_angle_alpha 90.00
_cell_angle_beta 90.00
_cell_angle_gamma 120.00
_symmetry_space_group_name_H-M 'R -3 m'
_symmetry_Int_Tables_number 166
_symmetry_space_group_name_Hall '-R 3 2"'
loop_
_atom_site_label
_atom_site_fract_x
_atom_site_fract_y
_atom_site_fract_z
Mg1 0.0000 0.0000 0.0000
Si1 0.0000 0.0000 0.2029